Entry 1:
VASP calculation (r²SCAN) on Eu3Sn13Ir4 after structural relaxation.

Results
ρ	9737	kg/m3
E_form	-48.2	kJ per mole of atoms

```
Eu3Sn13Ir4
1.0
9.810 0.000 0.000
0.000 9.810 0.000
0.000 0.000 9.810
Eu Sn Ir
6 26 8
Direct
0.000 0.250 0.500
0.000 0.750 0.500
0.250 0.500 0.000
0.500 0.000 0.250
0.500 0.000 0.750
0.750 0.500 0.000
0.000 0.000 0.000
0.000 0.303 0.152
0.000 0.303 0.848
0.000 0.697 0.152
0.000 0.697 0.848
0.152 0.000 0.303
0.152 0.000 0.697
0.197 0.500 0.348
0.197 0.500 0.652
0.303 0.152 0.000
0.303 0.848 0.000
0.348 0.197 0.500
0.348 0.803 0.500
0.500 0.348 0.197
0.500 0.348 0.803
0.500 0.500 0.500
0.500 0.652 0.197
0.500 0.652 0.803
0.652 0.197 0.500
0.652 0.803 0.500
0.697 0.152 0.000
0.697 0.848 0.000
0.803 0.500 0.348
0.803 0.500 0.652
0.848 0.000 0.303
0.848 0.000 0.697
0.250 0.250 0.250
0.250 0.250 0.750
0.250 0.750 0.250
0.250 0.750 0.750
0.750 0.250 0.250
0.750 0.250 0.750
0.750 0.750 0.250
0.750 0.750 0.750
```


Entry 2:
VASP calculation (r²SCAN) on Eu2ZnIr after structural relaxation.

Results
ρ	10167	kg/m3
E_form	-32.2	kJ per mole of atoms

```
Eu2ZnIr
1.0
0.000 3.579 3.579
3.579 0.000 3.579
3.579 3.579 0.000
Eu Zn Ir
2 1 1
Direct
0.250 0.250 0.250
0.750 0.750 0.750
0.000 0.000 0.000
0.500 0.500 0.500
```


Entry 3:
VASP calculation (r²SCAN) on KEuO2 after structural relaxation.

Results
ρ	5465	kg/m3
E_form	-242.7	kJ per mole of atoms

```
KEuO2
1.0
1.785 1.030 6.144
-1.785 1.030 6.144
0.000 -2.061 6.144
K Eu O
1 1 2
Direct
0.000 0.000 0.000
0.500 0.500 0.500
0.230 0.230 0.230
0.770 0.770 0.770
```


Entry 4:
VASP calculation (r²SCAN) on KEuSnWO6 after structural relaxation.

Results
ρ	6640	kg/m3
E_form	-207.7	kJ per mole of atoms

```
KEuSnWO6
1.0
0.000 4.193 4.193
4.193 0.000 4.193
4.193 4.193 0.000
K Eu Sn W O
1 1 1 1 6
Direct
0.000 0.000 0.000
0.250 0.250 0.250
0.500 0.500 0.500
0.750 0.750 0.750
0.521 0.521 0.979
0.521 0.979 0.521
0.521 0.979 0.979
0.979 0.521 0.521
0.979 0.521 0.979
0.979 0.979 0.521
```


Entry 5:
VASP calculation (r²SCAN) on KEuPSe4 after structural relaxation.

Results
ρ	4278	kg/m3
E_form	-111.7	kJ per mole of atoms

```
KEuPSe4
1.0
6.910 0.000 0.000
0.000 6.966 0.000
-2.719 0.000 8.676
K Eu P Se
2 2 2 8
Direct
0.243 0.250 0.437
0.757 0.750 0.563
0.268 0.250 0.951
0.732 0.750 0.049
0.295 0.750 0.190
0.705 0.250 0.810
0.100 0.750 0.342
0.120 0.750 0.943
0.500 0.001 0.235
0.500 0.499 0.235
0.500 0.501 0.765
0.500 0.999 0.765
0.880 0.250 0.057
0.900 0.250 0.658
```


Entry 6:
VASP calculation (r²SCAN) on LaEu2SbO6 after structural relaxation.

Results
ρ	7026	kg/m3
E_form	-264.0	kJ per mole of atoms

```
LaEu2SbO6
1.0
0.000 4.274 4.274
4.274 0.000 4.274
4.274 4.274 0.000
La Eu Sb O
1 2 1 6
Direct
0.000 0.000 0.000
0.250 0.250 0.250
0.750 0.750 0.750
0.500 0.500 0.500
0.270 0.270 0.730
0.270 0.730 0.270
0.270 0.730 0.730
0.730 0.270 0.270
0.730 0.270 0.730
0.730 0.730 0.270
```


Entry 7:
VASP calculation (r²SCAN) on La2EuS4 after structural relaxation.

Results
ρ	5571	kg/m3
E_form	-185.3	kJ per mole of atoms

```
La2EuS4
1.0
-4.371 4.371 4.353
4.371 -4.371 4.353
4.371 4.371 -4.353
La Eu S
4 2 8
Direct
0.004 0.625 0.879
0.375 0.254 0.379
0.746 0.125 0.121
0.875 0.996 0.621
0.250 0.750 0.500
0.500 0.500 0.000
0.124 0.374 0.103
0.124 0.374 0.603
0.271 0.021 0.897
0.479 0.876 0.250
0.626 0.229 0.750
0.626 0.729 0.750
0.771 0.521 0.397
0.979 0.876 0.250
```


Entry 8:
VASP calculation (r²SCAN) on LaEuS2 after structural relaxation.

Results
ρ	5824	kg/m3
E_form	-233.8	kJ per mole of atoms

```
LaEuS2
1.0
2.071 1.196 6.814
-2.071 1.196 6.814
0.000 -2.391 6.814
La Eu S
1 1 2
Direct
0.000 0.000 0.000
0.500 0.500 0.500
0.249 0.249 0.249
0.751 0.751 0.751
```